DFT (PBE) results for crystalline Cr2CdSeS3 at its relaxed geometry.

Structure (CIF):
```
data_Cr2CdSeS3
_chemical_formula_sum 'Cr8 Cd4 Se4 S12'
_symmetry_space_group_name_H-M 'I m m 2'
_symmetry_Int_Tables_number 44
_symmetry_space_group_name_Hall 'I 2 -2'
_cell_length_a 7.3903
_cell_length_b 7.4102
_cell_length_c 10.4697
_cell_angle_alpha 90.00
_cell_angle_beta 90.00
_cell_angle_gamma 90.00
loop_
_atom_site_label
_atom_site_type_symbol
_atom_site_fract_x
_atom_site_fract_y
_atom_site_fract_z
Cr1 Cr 0.0000 0.2419 0.0000
Cr2 Cr 0.2494 0.0000 0.2460
Cd1 Cd 0.0000 0.0000 0.6403
Cd2 Cd 0.0000 0.5000 0.3721
Se1 Se 0.2231 0.5000 0.9870
S1 S 0.0000 0.2153 0.2316
S2 S 0.0000 0.2862 0.7685
S3 S 0.2200 0.0000 0.0143
```

Results
E	-5.821	eV/atom

DFT (PBE) results for crystalline ScCuO2 at its relaxed geometry.

Structure (CIF):
```
data_ScCuO2
_chemical_formula_sum 'Sc2 Cu2 O4'
_symmetry_space_group_name_H-M 'P 63/m m c'
_symmetry_Int_Tables_number 194
_symmetry_space_group_name_Hall '-P 6c 2c'
_cell_length_a 3.2443
_cell_length_b 3.2443
_cell_length_c 11.4494
_cell_angle_alpha 90.00
_cell_angle_beta 90.00
_cell_angle_gamma 120.00
loop_
_atom_site_label
_atom_site_type_symbol
_atom_site_fract_x
_atom_site_fract_y
_atom_site_fract_z
Sc1 Sc 0.0000 0.0000 0.0000
Cu1 Cu 0.3333 0.6667 0.2500
O1 O 0.3333 0.6667 0.0892
```

Results
E	-7.463	eV/atom